A relaxed Li3MnFe2B3O9 crystal, computed with GGA+U.

Cell: 8.8306 8.8306 8.2546 Å, 62.26 62.26 41.82°
Element x y z (fractional)
1 Li 0.2602 0.7569 0.6986
2 Li 0.7569 0.2602 0.6986
3 Li 0.1006 0.5979 0.2842
4 Li 0.5979 0.1006 0.2842
5 Li 0.3932 0.8922 0.0160
6 Li 0.8922 0.3932 0.0160
7 Mn 0.8205 0.8205 0.9874
8 Mn 0.9938 0.9938 0.3712
9 Fe 0.3192 0.3192 0.9925
10 Fe 0.4962 0.4962 0.3685
11 Fe 0.1831 0.1831 0.6413
12 Fe 0.6841 0.6841 0.6399
13 B 0.9165 0.4167 0.3349
14 B 0.4167 0.9165 0.3349
15 B 0.0854 0.5801 0.6661
16 B 0.5801 0.0854 0.6661
17 B 0.0013 0.0013 0.9992
18 B 0.5000 0.5000 0.9998
19 O 0.5430 0.5430 0.8059
20 O 0.0413 0.0413 0.8049
21 O 0.4598 0.9598 0.4430
22 O 0.9598 0.4598 0.4430
23 O 0.9043 0.9043 0.1131
24 O 0.4026 0.4026 0.1075
25 O 0.8159 0.3232 0.4206
26 O 0.3232 0.8159 0.4206
27 O 0.4673 0.9738 0.1406
28 O 0.9738 0.4673 0.1406
29 O 0.1268 0.6199 0.7794
30 O 0.6199 0.1268 0.7794
31 O 0.5540 0.5540 0.0870
32 O 0.0587 0.0587 0.0784
33 O 0.9859 0.4860 0.7461
34 O 0.4860 0.9859 0.7461
35 O 0.1430 0.6364 0.4724
36 O 0.6364 0.1430 0.4724

Properties
Crystal system: monoclinic
ΔH_f (0 K) (kJ/mol of formula units): -4145
Space group: No. 8
Uncorrected energy (eV/atom): -7.0555

---

A relaxed LiVPO4 crystal, computed with GGA+U.

Cell: 5.5128 6.4928 9.4694 Å, 107.26 78.46 103.70°
Element x y z (fractional)
1 Li 0.3056 0.3601 0.1007
2 Li 0.6944 0.6399 0.8993
3 Li 0.7941 0.4830 0.2508
4 Li 0.2059 0.5170 0.7492
5 V 0.2262 0.1670 0.4148
6 V 0.7737 0.8330 0.5852
7 V 0.7232 0.9538 0.2158
8 V 0.2768 0.0462 0.7842
9 P 0.1851 0.8153 0.0757
10 P 0.8149 0.1847 0.9243
11 P 0.3255 0.6938 0.4481
12 P 0.6745 0.3062 0.5519
13 O 0.3966 0.7220 0.1098
14 O 0.6034 0.2780 0.8902
15 O 0.9142 0.6797 0.1060
16 O 0.0858 0.3203 0.8940
17 O 0.7602 0.1842 0.0905
18 O 0.2398 0.8158 0.9095
19 O 0.1684 0.0533 0.1799
20 O 0.8316 0.9467 0.8201
21 O 0.1501 0.8463 0.4451
22 O 0.8499 0.1537 0.5549
23 O 0.6065 0.7559 0.3760
24 O 0.3935 0.2441 0.6240
25 O 0.2149 0.4598 0.3649
26 O 0.7851 0.5402 0.6351
27 O 0.6458 0.2720 0.3836
28 O 0.3542 0.7280 0.6164

Properties
Crystal system: triclinic
ΔH_f (0 K) (kJ/mol of formula units): -1735
Space group: No. 2
Uncorrected energy (eV/atom): -7.1040

---

A relaxed Na3V2P3O12 crystal, computed with GGA+U.

Cell: 9.0131 8.8717 15.4405 Å, 55.33 90.00 90.00°
Element x y z (fractional)
1 Na 0.9349 0.3871 0.6902
2 Na 0.3007 0.3276 0.7648
3 Na 0.2049 0.0457 0.1633
4 Na 0.7049 0.9543 0.3367
5 Na 0.8007 0.6724 0.7352
6 Na 0.4349 0.6129 0.8098
7 Na 0.5651 0.3871 0.1902
8 Na 0.1993 0.3276 0.2648
9 Na 0.2951 0.0457 0.6633
10 Na 0.7951 0.9543 0.8367
11 Na 0.6993 0.6724 0.2352
12 Na 0.0651 0.6129 0.3098
13 V 0.4785 0.6456 0.6015
14 V 0.9785 0.3544 0.8985
15 V 0.5373 0.1368 0.1055
16 V 0.0373 0.8632 0.3945
17 V 0.9627 0.1368 0.6055
18 V 0.4627 0.8632 0.8945
19 V 0.0215 0.6456 0.1015
20 V 0.5215 0.3544 0.3985
21 P 0.7497 0.5309 0.4966
22 P 0.6198 0.2534 0.8545
23 P 0.8965 0.9681 0.1471
24 P 0.3965 0.0319 0.3529
25 P 0.1198 0.7466 0.6455
26 P 0.2497 0.4691 0.0034
27 P 0.7503 0.5309 0.9966
28 P 0.8802 0.2534 0.3545
29 P 0.6035 0.9681 0.6471
30 P 0.1035 0.0319 0.8529
31 P 0.3802 0.7466 0.1455
32 P 0.2503 0.4691 0.5034
33 O 0.1515 0.6392 0.4342
34 O 0.0948 0.1966 0.8639
35 O 0.3380 0.4797 0.5865
36 O 0.4116 0.9058 0.1578
37 O 0.6489 0.5429 0.5741
38 O 0.7890 0.3032 0.8356
39 O 0.5715 0.1940 0.9644
40 O 0.9919 0.9120 0.2454
41 O 0.7313 0.9825 0.1710
42 O 0.8455 0.7059 0.4377
43 O 0.9627 0.1426 0.0519
44 O 0.5272 0.4250 0.7711
45 O 0.0272 0.5750 0.7289
46 O 0.4627 0.8574 0.4481
47 O 0.3455 0.2941 0.0623
48 O 0.2313 0.0175 0.3290
49 O 0.0715 0.8060 0.5356
50 O 0.2890 0.6968 0.6644
51 O 0.4919 0.0880 0.2546
52 O 0.1489 0.4571 0.9259
53 O 0.8380 0.5203 0.9135
54 O 0.5948 0.8034 0.6361
55 O 0.9116 0.0942 0.3422
56 O 0.6515 0.3608 0.0658
57 O 0.3485 0.6392 0.9342
58 O 0.0884 0.9058 0.6578
59 O 0.4052 0.1966 0.3639
60 O 0.1620 0.4797 0.0865
61 O 0.8511 0.5429 0.0741
62 O 0.5081 0.9120 0.7454
63 O 0.7110 0.3032 0.3356
64 O 0.9285 0.1940 0.4644
65 O 0.7687 0.9825 0.6710
66 O 0.6545 0.7059 0.9377
67 O 0.5373 0.1426 0.5519
68 O 0.9728 0.4250 0.2711
69 O 0.4728 0.5750 0.2289
70 O 0.0373 0.8574 0.9481
71 O 0.1545 0.2941 0.5623
72 O 0.2687 0.0175 0.8290
73 O 0.0081 0.0880 0.7546
74 O 0.4285 0.8060 0.0356
75 O 0.2110 0.6968 0.1644
76 O 0.3511 0.4571 0.4259
77 O 0.5884 0.0942 0.8422
78 O 0.6620 0.5203 0.4135
79 O 0.9052 0.8034 0.1361
80 O 0.8485 0.3608 0.5658

Properties
Crystal system: monoclinic
ΔH_f (0 K) (kJ/mol of formula units): -5101
Space group: No. 14
Uncorrected energy (eV/atom): -6.9489

---

A relaxed Li2FeBO4 crystal, computed with GGA+U.

Cell: 4.8233 6.1802 10.2580 Å, 90.00 90.00 90.00°
Element x y z (fractional)
1 Li 0.7581 0.0034 0.1576
2 Li 0.7560 0.2349 0.9256
3 Li 0.7560 0.2651 0.4256
4 Li 0.7581 0.4966 0.6576
5 Li 0.2581 0.5034 0.3424
6 Li 0.2560 0.7349 0.5744
7 Li 0.2560 0.7651 0.0744
8 Li 0.2581 0.9966 0.8424
9 Fe 0.2599 0.0105 0.3383
10 Fe 0.2599 0.4895 0.8383
11 Fe 0.7599 0.5105 0.1617
12 Fe 0.7599 0.9895 0.6617
13 B 0.2652 0.2438 0.5898
14 B 0.2652 0.2562 0.0898
15 B 0.7652 0.7438 0.9102
16 B 0.7652 0.7562 0.4102
17 O 0.1533 0.0426 0.6556
18 O 0.1647 0.0559 0.1585
19 O 0.1727 0.2509 0.9500
20 O 0.5734 0.2379 0.5970
21 O 0.5734 0.2621 0.0970
22 O 0.1727 0.2491 0.4500
23 O 0.1647 0.4441 0.6585
24 O 0.1533 0.4574 0.1556
25 O 0.6533 0.5426 0.8444
26 O 0.6647 0.5559 0.3415
27 O 0.6727 0.7509 0.5500
28 O 0.0734 0.7379 0.9030
29 O 0.0734 0.7621 0.4030
30 O 0.6727 0.7491 0.0500
31 O 0.6647 0.9441 0.8415
32 O 0.6533 0.9574 0.3444

Properties
Crystal system: orthorhombic
ΔH_f (0 K) (kJ/mol of formula units): -1783
Space group: No. 33
Uncorrected energy (eV/atom): -6.5290